! VFeRu2 | Materials Project | PBE-GGA | relaxed; values from VASP
&SYSTEM
  ibrav = 0, nat = 16, ntyp = 3
/
ATOMIC_SPECIES
V 50.94 V.upf
Fe 55.84 Fe.upf
Ru 101.07 Ru.upf
ATOMIC_POSITIONS angstrom
V 0.000 0.000 0.000
V 0.000 3.007 3.007
V 3.007 0.000 3.007
V 3.007 3.007 0.000
Fe 0.000 0.000 3.007
Fe 0.000 3.007 0.000
Fe 3.007 0.000 0.000
Fe 3.007 3.007 3.007
Ru 1.503 1.503 1.503
Ru 1.503 1.503 4.510
Ru 1.503 4.510 1.503
Ru 1.503 4.510 4.510
Ru 4.510 1.503 1.503
Ru 4.510 1.503 4.510
Ru 4.510 4.510 1.503
Ru 4.510 4.510 4.510
CELL_PARAMETERS angstrom
6.013 0.000 0.000
0.000 6.013 0.000
0.000 0.000 6.013
! symmetry	No. 225
! raw total energy	-146.1	eV for the cell shown
! crystal system	cubic

! Fe2S | Materials Project | PBE-GGA | relaxed; values from VASP
&SYSTEM
  ibrav = 0, nat = 21, ntyp = 2
/
ATOMIC_SPECIES
Fe 55.84 Fe.upf
S 32.06 S.upf
ATOMIC_POSITIONS angstrom
Fe 0.000 0.000 0.000
Fe -0.014 0.000 8.796
Fe 1.200 0.000 2.226
Fe 1.394 0.000 14.106
Fe 2.479 0.000 8.535
Fe 2.568 0.000 4.564
Fe 2.685 0.000 16.290
Fe 3.837 0.000 10.781
Fe 4.998 0.000 17.620
Fe 5.092 0.000 5.283
Fe 6.251 0.000 0.326
Fe 6.433 0.000 12.056
Fe 7.608 0.000 6.480
Fe 7.620 0.000 14.274
S 0.038 0.000 12.311
S 1.175 0.000 6.807
S 3.288 0.000 1.317
S 4.697 0.000 15.363
S 5.988 0.000 9.854
S 7.250 0.000 17.795
S 8.554 0.000 3.965
CELL_PARAMETERS angstrom
4.373 -1.529 0.000
4.373 1.529 0.000
-0.084 0.000 19.522
! distance to the lowest polymorph of the same formula	0	meV per atom
! symmetry	No. 8
! crystal system	monoclinic

! FeS | Materials Project | PBE-GGA | relaxed; values from VASP
&SYSTEM
  ibrav = 0, nat = 4, ntyp = 2
/
ATOMIC_SPECIES
Fe 55.84 Fe.upf
S 32.06 S.upf
ATOMIC_POSITIONS angstrom
Fe 0.899 2.697 0.000
Fe 2.697 0.899 0.000
S 0.899 0.899 1.211
S 2.697 2.697 4.243
CELL_PARAMETERS angstrom
3.596 0.000 0.000
0.000 3.596 0.000
0.000 0.000 5.454
! symmetry	No. 129
! raw total energy	-27.2	eV for the cell shown
! crystal system	tetragonal

! FeS | Materials Project | PBE-GGA | relaxed; values from VASP
&SYSTEM
  ibrav = 0, nat = 4, ntyp = 2
/
ATOMIC_SPECIES
Fe 55.84 Fe.upf
S 32.06 S.upf
ATOMIC_POSITIONS angstrom
Fe 0.000 0.000 0.000
Fe 0.000 0.000 2.864
S 0.000 1.967 1.432
S 1.703 0.983 4.295
CELL_PARAMETERS angstrom
3.407 0.000 0.000
-1.703 2.950 0.000
0.000 0.000 5.727
! symmetry	No. 194
! raw total energy	-26.0	eV for the cell shown
! crystal system	hexagonal

| no. | volume (A^3/atom) |
| --- | --- |
| 1 | 13.59 |
| 2 | 12.44 |
| 3 | 17.63 |
| 4 | 14.39 |